# 1
Ce4CdPd | PBE | relaxed

ΔE_f	-216	meV per atom
calculated total energy	-0.1907	hartree per atom
ρ	7.6	g cm⁻³

a b c (Å): 9.858 9.858 9.858
angles (deg): 60.00 60.00 60.00
Element x y z (fractional)
Ce  0.354  0.354  0.354
Ce  0.354  0.354  0.937
Ce  0.354  0.937  0.354
Ce  0.937  0.354  0.354
Ce  0.803  0.197  0.197
Ce  0.197  0.803  0.803
Ce  0.197  0.803  0.197
Ce  0.803  0.197  0.803
Ce  0.197  0.197  0.803
Ce  0.803  0.803  0.197
Ce  0.935  0.565  0.565
Ce  0.565  0.935  0.935
Ce  0.565  0.935  0.565
Ce  0.935  0.565  0.935
Ce  0.565  0.565  0.935
Ce  0.935  0.935  0.565
Cd  0.580  0.580  0.580
Cd  0.580  0.580  0.261
Cd  0.580  0.261  0.580
Cd  0.261  0.580  0.580
Pd  0.143  0.143  0.143
Pd  0.143  0.143  0.570
Pd  0.143  0.570  0.143
Pd  0.570  0.143  0.143



# 2
Ce4CdPt | PBE | relaxed

ΔE_f	-374	meV per atom
calculated total energy	-0.2019	hartree per atom
ρ	8.5	g cm⁻³

a b c (Å): 9.857 9.857 9.857
angles (deg): 60.00 60.00 60.00
Element x y z (fractional)
Ce  0.353  0.353  0.353
Ce  0.353  0.353  0.941
Ce  0.353  0.941  0.353
Ce  0.941  0.353  0.353
Ce  0.804  0.196  0.196
Ce  0.196  0.804  0.804
Ce  0.196  0.804  0.196
Ce  0.804  0.196  0.804
Ce  0.196  0.196  0.804
Ce  0.804  0.804  0.196
Ce  0.935  0.565  0.565
Ce  0.565  0.935  0.935
Ce  0.565  0.935  0.565
Ce  0.935  0.565  0.935
Ce  0.565  0.565  0.935
Ce  0.935  0.935  0.565
Cd  0.580  0.580  0.580
Cd  0.580  0.580  0.261
Cd  0.580  0.261  0.580
Cd  0.261  0.580  0.580
Pt  0.143  0.143  0.143
Pt  0.143  0.143  0.572
Pt  0.143  0.572  0.143
Pt  0.572  0.143  0.143



# 3
CeCdPt | PBE | relaxed

ΔE_f	-777	meV per atom
calculated total energy	-0.1869	hartree per atom
ρ	10.8	g cm⁻³

a b c (Å): 7.657 7.657 4.082
angles (deg): 90.00 90.00 120.00
Element x y z (fractional)
Ce  0.409  0.409  0.000
Ce  0.591  0.000  0.000
Ce  0.000  0.591  0.000
Cd  0.751  0.751  0.500
Cd  0.249  0.000  0.500
Cd  0.000  0.249  0.500
Pt  0.667  0.333  0.500
Pt  0.333  0.667  0.500
Pt  0.000  0.000  0.000



# 4
Ce2CdSb4 | PBE | relaxed

MP2020-corrected energy	-34.86	eV/cell
ΔE_f	-794	meV per atom
calculated total energy	-0.1790	hartree per atom
ρ	7.0	g cm⁻³

a b c (Å): 4.392 4.392 10.764
angles (deg): 90.00 90.00 90.00
Element x y z (fractional)
Ce  0.500  0.000  0.769
Ce  0.000  0.500  0.231
Cd  0.500  0.500  0.500
Sb  0.500  0.000  0.321
Sb  0.000  0.500  0.679
Sb  0.500  0.500  0.000
Sb  0.000  0.000  0.000



# 5
CeTlCd | PBE | relaxed

ΔE_f	-223	meV per atom
calculated total energy	-0.1211	hartree per atom
ρ	9.6	g cm⁻³

a b c (Å): 5.089 5.089 7.026
angles (deg): 90.00 90.00 120.00
Element x y z (fractional)
Ce  0.000  0.000  0.500
Ce  0.000  0.000  0.000
Tl  0.333  0.667  0.250
Tl  0.667  0.333  0.750
Cd  0.333  0.667  0.750
Cd  0.667  0.333  0.250



# 6
CdCl2 | PBE | relaxed

maximum piezoelectric response	0.5	C/m2
MP2020-corrected energy	-8.92	eV/cell
ΔE_f	-1432	meV per atom
calculated total energy	-0.0942	hartree per atom
ρ	3.5	g cm⁻³

a b c (Å): 4.202 4.202 4.995
angles (deg): 88.93 88.93 89.80
Element x y z (fractional)
Cd  0.159  0.841  0.000
Cl  0.669  0.828  0.729
Cl  0.172  0.331  0.271



# 7
CdCl2 | PBE | relaxed

MP2020-corrected energy	-9.10	eV/cell
ΔE_f	-1494	meV per atom
calculated total energy	-0.0965	hartree per atom
ρ	3.6	g cm⁻³

a b c (Å): 3.923 3.923 6.325
angles (deg): 84.28 84.28 59.84
Element x y z (fractional)
Cd  0.500  0.500  0.500
Cl  0.194  0.194  0.271
Cl  0.806  0.806  0.729



# 8
CdCl2 | PBE | relaxed

MP2020-corrected energy	-8.97	eV/cell
ΔE_f	-1449	meV per atom
calculated total energy	-0.0948	hartree per atom
ρ	3.1	g cm⁻³

a b c (Å): 4.118 4.118 5.718
angles (deg): 90.00 90.00 90.00
Element x y z (fractional)
Cd  0.500  0.500  0.500
Cl  0.000  0.500  0.247
Cl  0.500  0.000  0.753



# 9
CdCl2 | PBE | relaxed

MP2020-corrected energy	-9.11	eV/cell
ΔE_f	-1496	meV per atom
calculated total energy	-0.0965	hartree per atom
ρ	3.6	g cm⁻³

a b c (Å): 3.926 3.926 6.710
angles (deg): 72.99 72.99 60.00
Element x y z (fractional)
Cd  0.000  0.000  0.000
Cl  0.742  0.742  0.773
Cl  0.258  0.258  0.227



# 10
CdCl4 | PBE | relaxed

MP2020-corrected energy	-23.05	eV/cell
ΔE_f	-642	meV per atom
calculated total energy	-0.0667	hartree per atom
ρ	1.4	g cm⁻³

a b c (Å): 11.140 11.140 7.509
angles (deg): 90.00 90.00 141.25
Element x y z (fractional)
Cd  0.500  0.500  0.500
Cd  0.000  0.000  0.000
Cl  0.735  0.765  0.250
Cl  0.765  0.735  0.750
Cl  0.265  0.235  0.750
Cl  0.235  0.265  0.250
Cl  0.386  0.614  0.548
Cl  0.614  0.386  0.452
Cl  0.114  0.886  0.048
Cl  0.886  0.114  0.952



# 11
CsCdCl3 | PBE | relaxed

MP2020-corrected energy	-16.53	eV/cell
ΔE_f	-1834	meV per atom
calculated total energy	-0.1080	hartree per atom
ρ	3.9	g cm⁻³

a b c (Å): 5.330 5.330 5.330
angles (deg): 90.00 90.00 90.00
Element x y z (fractional)
Cs  0.000  0.000  0.000
Cd  0.500  0.500  0.500
Cl  0.000  0.500  0.500
Cl  0.500  0.500  0.000
Cl  0.500  0.000  0.500



# 12
CsCdCl3 | PBE | relaxed

MP2020-corrected energy	-99.42	eV/cell
ΔE_f	-1841	meV per atom
calculated total energy	-0.1082	hartree per atom
ρ	3.7	g cm⁻³

a b c (Å): 7.575 7.575 18.873
angles (deg): 90.00 90.00 120.00
Element x y z (fractional)
Cs  0.333  0.667  0.090
Cs  0.667  0.333  0.910
Cs  0.667  0.333  0.590
Cs  0.000  0.000  0.250
Cs  0.333  0.667  0.410
Cs  0.000  0.000  0.750
Cd  0.667  0.333  0.339
Cd  0.333  0.667  0.661
Cd  0.667  0.333  0.161
Cd  0.000  0.000  0.500
Cd  0.333  0.667  0.839
Cd  0.000  0.000  0.000
Cl  0.836  0.164  0.083
Cl  0.836  0.671  0.083
Cl  0.836  0.164  0.417
Cl  0.164  0.329  0.583
Cl  0.836  0.671  0.417
Cl  0.985  0.493  0.250
Cl  0.329  0.164  0.083
Cl  0.507  0.493  0.250
Cl  0.329  0.164  0.417
Cl  0.671  0.836  0.917
Cl  0.164  0.836  0.917
Cl  0.164  0.836  0.583
Cl  0.671  0.836  0.583
Cl  0.507  0.015  0.250
Cl  0.164  0.329  0.917
Cl  0.493  0.985  0.750
Cl  0.493  0.507  0.750
Cl  0.015  0.507  0.750



# 13
CdCuH8Cl4O4 | PBE | relaxed

MP2020-corrected energy	-79.00	eV/cell
ΔE_f	-1092	meV per atom
calculated total energy	-0.1557	hartree per atom
ρ	2.7	g cm⁻³

a b c (Å): 3.884 7.260 8.802
angles (deg): 87.42 82.40 75.36
Element x y z (fractional)
Cd  0.000  0.000  0.500
Cu  0.500  0.000  0.000
H  0.167  0.326  0.112
H  0.193  0.436  0.702
H  0.344  0.349  0.942
H  0.392  0.573  0.763
H  0.608  0.427  0.237
H  0.656  0.651  0.058
H  0.807  0.564  0.298
H  0.833  0.674  0.888
Cl  0.067  0.950  0.194
Cl  0.380  0.256  0.474
Cl  0.620  0.744  0.526
Cl  0.933  0.050  0.806
O  0.385  0.275  0.039
O  0.209  0.501  0.795
O  0.791  0.499  0.205
O  0.615  0.725  0.961



# 14
KCdCu7Se2Cl9O8 | PBE | relaxed

MP2020-corrected energy	-239.78	eV/cell
ΔE_f	-927	meV per atom
calculated total energy	-0.1501	hartree per atom
ρ	3.7	g cm⁻³

a b c (Å): 8.874 8.874 15.763
angles (deg): 90.00 90.00 120.00
Element x y z (fractional)
K  0.000  0.000  0.250
K  0.000  0.000  0.750
Cd  0.000  0.000  0.500
Cd  0.000  0.000  0.000
Cu  0.905  0.452  0.092
Cu  0.548  0.095  0.408
Cu  0.095  0.548  0.592
Cu  0.452  0.548  0.592
Cu  0.548  0.452  0.408
Cu  0.452  0.905  0.592
Cu  0.452  0.905  0.908
Cu  0.452  0.548  0.908
Cu  0.905  0.452  0.408
Cu  0.095  0.548  0.908
Cu  0.548  0.095  0.092
Cu  0.548  0.452  0.092
Cu  0.667  0.333  0.250
Cu  0.333  0.667  0.750
Se  0.667  0.333  0.599
Se  0.333  0.667  0.099
Se  0.667  0.333  0.901
Se  0.333  0.667  0.401
Cl  0.509  0.018  0.250
Cl  0.278  0.139  0.399
Cl  0.722  0.861  0.899
Cl  0.509  0.491  0.250
Cl  0.139  0.861  0.899
Cl  0.139  0.278  0.899
Cl  0.861  0.722  0.101
Cl  0.018  0.509  0.750
Cl  0.861  0.722  0.399
Cl  0.491  0.509  0.750
Cl  0.982  0.491  0.250
Cl  0.139  0.278  0.601
Cl  0.722  0.861  0.601
Cl  0.491  0.982  0.750
Cl  0.278  0.139  0.101
Cl  0.139  0.861  0.601
Cl  0.861  0.139  0.399
Cl  0.861  0.139  0.101
O  0.568  0.136  0.545
O  0.667  0.333  0.128
O  0.864  0.432  0.545
O  0.568  0.432  0.955
O  0.333  0.667  0.628
O  0.568  0.136  0.955
O  0.136  0.568  0.455
O  0.136  0.568  0.045
O  0.432  0.568  0.045
O  0.333  0.667  0.872
O  0.432  0.864  0.045
O  0.568  0.432  0.545
O  0.864  0.432  0.955
O  0.667  0.333  0.372
O  0.432  0.568  0.455
O  0.432  0.864  0.455



# 15
CdGa2Cl8 | PBE | relaxed

MP2020-corrected energy	-77.90	eV/cell
ΔE_f	-1562	meV per atom
calculated total energy	-0.1137	hartree per atom
ρ	2.6	g cm⁻³

a b c (Å): 6.949 7.276 13.379
angles (deg): 86.99 90.00 90.00
Element x y z (fractional)
Cd  0.753  0.077  0.817
Cd  0.247  0.077  0.317
Ga  0.933  0.223  0.578
Ga  0.067  0.223  0.078
Ga  0.568  0.637  0.776
Ga  0.432  0.637  0.276
Cl  0.416  0.613  0.639
Cl  0.584  0.613  0.139
Cl  0.872  0.738  0.762
Cl  0.128  0.738  0.262
Cl  0.941  0.481  0.493
Cl  0.059  0.481  0.993
Cl  0.915  0.003  0.997
Cl  0.085  0.003  0.497
Cl  0.637  0.127  0.621
Cl  0.363  0.127  0.121
Cl  0.563  0.374  0.872
Cl  0.437  0.374  0.372
Cl  0.447  0.865  0.865
Cl  0.553  0.865  0.365
Cl  0.937  0.228  0.232
Cl  0.063  0.228  0.732



# 16
CdH4NCl3 | PBE | relaxed

MP2020-corrected energy	-148.60	eV/cell
ΔE_f	-975	meV per atom
calculated total energy	-0.1442	hartree per atom
ρ	2.8	g cm⁻³

a b c (Å): 4.087 9.324 14.921
angles (deg): 90.00 90.00 90.00
Element x y z (fractional)
Cd  0.750  0.837  0.060
Cd  0.250  0.163  0.940
Cd  0.750  0.337  0.440
Cd  0.250  0.663  0.560
H  0.048  0.383  0.194
H  0.548  0.617  0.806
H  0.452  0.883  0.306
H  0.952  0.117  0.694
H  0.952  0.617  0.806
H  0.452  0.383  0.194
H  0.548  0.117  0.694
H  0.048  0.883  0.306
H  0.750  0.465  0.779
H  0.250  0.535  0.221
H  0.750  0.965  0.721
H  0.250  0.035  0.279
H  0.750  0.519  0.887
H  0.250  0.481  0.113
H  0.750  0.019  0.613
H  0.250  0.981  0.387
N  0.250  0.946  0.321
N  0.750  0.054  0.679
N  0.250  0.446  0.179
N  0.750  0.554  0.821
Cl  0.750  0.735  0.220
Cl  0.250  0.265  0.780
Cl  0.750  0.235  0.280
Cl  0.250  0.765  0.720
Cl  0.250  0.672  0.005
Cl  0.750  0.328  0.995
Cl  0.250  0.172  0.495
Cl  0.750  0.828  0.505
Cl  0.750  0.974  0.902
Cl  0.250  0.026  0.098
Cl  0.750  0.474  0.598
Cl  0.250  0.526  0.402



# 17
CdH6N2Cl2 | PBE | relaxed

MP2020-corrected energy	-49.58	eV/cell
ΔE_f	-721	meV per atom
calculated total energy	-0.1615	hartree per atom
ρ	2.5	g cm⁻³

a b c (Å): 6.005 6.005 4.050
angles (deg): 88.55 88.55 88.13
Element x y z (fractional)
Cd  0.998  0.002  0.000
H  0.602  0.803  0.206
H  0.197  0.398  0.794
H  0.639  0.736  0.818
H  0.405  0.225  0.892
H  0.264  0.361  0.182
H  0.775  0.595  0.108
N  0.248  0.279  0.966
N  0.721  0.752  0.034
Cl  0.226  0.774  0.500
Cl  0.773  0.227  0.500